Below is a relaxed structure of Ca2TiAlO5, with properties calculated at the PBE level.

Properties
**DFT formation energy**: -3.363 eV/atom
**Total DFT energy (no corrections)**: -7.4694 eV/atom
**Space group**: No. 46

Unit cell a=8.252 b=8.252 c=8.252 alpha=141.58 beta=139.45 gamma=57.09
Sites, in units of the cell vectors:
O1 0.575 0.619 0.900
Ca1 0.577 0.120 0.476
O2 0.899 0.116 0.516
Ca2 0.423 0.900 0.544
O3 0.769 0.267 0.010
Al1 0.827 0.788 0.115
O4 0.425 0.324 0.043
O5 0.101 0.616 0.217
Ca3 0.144 0.620 0.544
Ca4 0.856 0.400 0.476
O6 0.757 0.767 0.498
O7 0.219 0.119 0.043
O8 0.243 0.741 0.010
O9 0.781 0.824 0.900
Ti1 0.000 0.998 0.998
Ti2 0.500 0.498 0.998
Al2 0.173 0.288 0.961
O10 0.231 0.241 0.498

***

Below is a relaxed structure of TmCuS2, with properties calculated at the PBE level.

Properties
**DFT formation energy**: -1.623 eV/atom
**Total DFT energy (no corrections)**: -5.5834 eV/atom
**Space group**: No. 62

Unit cell a=3.917 b=6.221 c=13.263 alpha=90.00 beta=90.00 gamma=90.00
Sites, in units of the cell vectors:
Tm1 0.250 0.998 0.633
S1 0.750 0.257 0.040
S2 0.250 0.757 0.460
Tm2 0.750 0.498 0.867
S3 0.250 0.262 0.794
Tm3 0.750 0.002 0.367
S4 0.750 0.762 0.706
Tm4 0.250 0.502 0.133
Cu1 0.750 0.877 0.046
Cu2 0.750 0.623 0.546
Cu3 0.250 0.377 0.454
Cu4 0.250 0.123 0.954
S5 0.250 0.238 0.294
S6 0.750 0.243 0.540
S7 0.750 0.738 0.206
S8 0.250 0.743 0.960

***

Below is a relaxed structure of Tb4MgP4O16, with properties calculated at the PBE level.

Properties
**DFT formation energy**: -3.267 eV/atom
**Total DFT energy (no corrections)**: -7.6652 eV/atom
**Relative energy among the computed polymorphs**: 0.000 eV per atom
**Space group**: No. 1

Unit cell a=6.368 b=8.274 c=6.634 alpha=90.23 beta=84.45 gamma=108.44
Sites, in units of the cell vectors:
O1 0.782 0.283 0.742
O2 0.495 0.688 0.595
P1 0.426 0.712 0.821
O3 0.387 0.309 0.021
O4 0.756 0.040 0.530
O5 0.469 0.344 0.390
P2 0.084 0.791 0.418
O6 0.227 0.691 0.291
Tb1 0.377 0.134 0.724
O7 0.630 0.152 0.154
O8 0.974 0.694 0.613
O9 0.047 0.033 0.920
Tb2 0.589 0.892 0.292
O10 0.911 0.814 0.281
O11 0.211 0.561 0.883
P3 0.564 0.322 0.171
O12 0.358 0.876 0.852
O13 0.606 0.730 0.968
Tb3 0.971 0.746 0.944
O14 0.004 0.324 0.374
P4 0.934 0.212 0.583
Mg1 0.278 0.496 0.456
O15 0.267 0.963 0.452
Tb4 0.008 0.285 0.017
O16 0.780 0.466 0.102

***

Below is a relaxed structure of BaSrEuBiO6, with properties calculated at the PBE level.

Properties
**DFT formation energy**: -2.605 eV/atom
**Total DFT energy (no corrections)**: -6.9369 eV/atom
**Relative energy among the computed polymorphs**: 0.000 eV per atom
**Space group**: No. 2

Unit cell a=6.108 b=6.226 c=8.709 alpha=90.15 beta=89.81 gamma=89.88
Sites, in units of the cell vectors:
O1 0.307 0.714 0.547
Ba1 0.009 0.960 0.750
O2 0.798 0.779 0.044
O3 0.715 0.304 0.049
Eu1 0.500 0.000 0.000
O4 0.693 0.286 0.453
Bi1 0.000 0.500 0.000
Sr1 0.512 0.547 0.251
O5 0.426 0.963 0.259
O6 0.220 0.204 0.541
O7 0.094 0.485 0.240
O8 0.780 0.796 0.459
Bi2 0.500 0.000 0.500
O9 0.202 0.221 0.956
Ba2 0.991 0.040 0.250
Sr2 0.488 0.453 0.749
O10 0.906 0.515 0.760
O11 0.574 0.037 0.741
Eu2 0.000 0.500 0.500
O12 0.285 0.696 0.951

***

Below is a relaxed structure of HgH6I3NO, with properties calculated at the PBE level.

Properties
**DFT formation energy**: -0.607 eV/atom
**Total DFT energy (no corrections)**: -3.7595 eV/atom
**Space group**: No. 9

Unit cell a=7.386 b=7.386 c=9.047 alpha=88.58 beta=88.58 gamma=81.44
Sites, in units of the cell vectors:
Hg1 0.550 0.614 0.104
I1 0.931 0.539 0.136
H1 0.835 0.220 0.250
I2 0.348 0.966 0.128
H2 0.160 0.860 0.386
I3 0.539 0.931 0.636
O1 0.908 0.059 0.953
O2 0.059 0.908 0.453
H3 0.860 0.160 0.886
H4 0.011 0.880 0.839
I4 0.966 0.348 0.628
I5 0.394 0.435 0.374
H5 0.125 0.660 0.825
H6 0.038 0.773 0.671
H7 0.773 0.038 0.171
H8 0.660 0.125 0.325
N1 0.096 0.787 0.771
N2 0.787 0.096 0.271
H9 0.021 0.095 0.992
Hg2 0.614 0.550 0.604
H10 0.880 0.011 0.339
H11 0.220 0.835 0.750
I6 0.435 0.394 0.874
H12 0.095 0.021 0.492

***

Below is a relaxed structure of Cs6K7, with properties calculated at the PBE level.

Properties
**DFT formation energy**: 0.025 eV/atom
**Total DFT energy (no corrections)**: -0.9864 eV/atom
**Space group**: No. 194

Unit cell a=9.150 b=9.150 c=33.238 alpha=90.00 beta=90.00 gamma=120.00
Sites, in units of the cell vectors:
Cs1 0.667 0.333 0.023
K1 0.334 0.167 0.615
K2 0.833 0.666 0.615
K3 0.167 0.833 0.115
K4 0.167 0.334 0.115
K5 0.833 0.167 0.885
K6 0.666 0.833 0.115
K7 0.334 0.167 0.885
Cs2 0.333 0.667 0.250
K8 0.000 0.000 0.500
Cs3 0.667 0.333 0.750
K9 0.000 0.000 0.000
Cs4 0.000 0.000 0.250
K10 0.833 0.167 0.615
K11 0.833 0.666 0.885
Cs5 0.000 0.000 0.750
Cs6 0.667 0.333 0.178
Cs7 0.333 0.667 0.977
K12 0.167 0.334 0.385
Cs8 0.333 0.667 0.678
K13 0.666 0.833 0.385
Cs9 0.333 0.667 0.523
Cs10 0.333 0.667 0.822
K14 0.167 0.833 0.385
Cs11 0.667 0.333 0.477
Cs12 0.667 0.333 0.322

***

Below is a relaxed structure of Mg3Cr2N4, with properties calculated at the PBE level.

Properties
**DFT formation energy**: -0.633 eV/atom
**Total DFT energy (no corrections)**: -6.8566 eV/atom
**Space group**: No. 15

Unit cell a=6.251 b=7.366 c=5.430 alpha=90.00 beta=90.42 gamma=126.10
Sites, in units of the cell vectors:
Cr1 0.391 0.821 0.400
Mg1 0.778 0.012 0.022
N1 0.710 0.446 0.435
N2 0.290 0.735 0.065
N3 0.222 0.276 0.067
Mg2 0.000 0.405 0.250
N4 0.222 0.946 0.567
N5 0.290 0.554 0.565
Cr2 0.609 0.431 0.100
N6 0.710 0.265 0.935
Mg3 0.222 0.988 0.978
Cr3 0.609 0.179 0.600
Mg4 0.778 0.765 0.522
N7 0.778 0.724 0.933
Cr4 0.391 0.569 0.900
Mg5 0.000 0.595 0.750
Mg6 0.222 0.235 0.478
N8 0.778 0.054 0.433

***

Below is a relaxed structure of RbGe, with properties calculated at the PBE level.

Properties
**DFT formation energy**: -0.192 eV/atom
**Total DFT energy (no corrections)**: -2.9935 eV/atom
**Relative energy among the computed polymorphs**: 0.000 eV per atom
**Space group**: No. 218

Unit cell a=13.414 b=13.414 c=13.414 alpha=90.00 beta=90.00 gamma=90.00
Sites, in units of the cell vectors:
Rb1 0.837 0.434 0.361
Ge1 0.925 0.818 0.563
Rb2 0.834 0.166 0.166
Rb3 0.337 0.139 0.066
Ge2 0.682 0.575 0.063
Ge3 0.318 0.575 0.937
Ge4 0.563 0.075 0.182
Ge5 0.075 0.182 0.563
Ge6 0.575 0.063 0.682
Rb4 0.066 0.337 0.139
Ge7 0.182 0.563 0.075
Rb5 0.434 0.361 0.837
Rb6 0.666 0.666 0.334
Ge8 0.937 0.318 0.575
Ge9 0.069 0.931 0.931
Ge10 0.182 0.437 0.925
Ge11 0.818 0.437 0.075
Ge12 0.069 0.069 0.069
Rb7 0.434 0.639 0.163
Rb8 0.663 0.139 0.934
Ge13 0.925 0.182 0.437
Ge14 0.425 0.937 0.682
Rb9 0.639 0.837 0.566
Ge15 0.318 0.425 0.063
Ge16 0.431 0.431 0.569
Rb10 0.834 0.834 0.834
Ge17 0.575 0.937 0.318
Rb11 0.934 0.663 0.139
Rb12 0.361 0.163 0.566
Rb13 0.861 0.934 0.337
Rb14 0.139 0.934 0.663
Ge18 0.063 0.318 0.425
Rb15 0.163 0.566 0.361
Ge19 0.437 0.075 0.818
Rb16 0.163 0.434 0.639
Rb17 0.334 0.334 0.334
Ge20 0.569 0.431 0.431
Ge21 0.425 0.063 0.318
Rb18 0.166 0.166 0.834
Ge22 0.682 0.425 0.937
Ge23 0.931 0.931 0.069
Rb19 0.566 0.639 0.837
Ge24 0.075 0.818 0.437
Rb20 0.861 0.066 0.663
Rb21 0.337 0.861 0.934
Ge25 0.437 0.925 0.182
Rb22 0.166 0.834 0.166
Ge26 0.063 0.682 0.575
Rb23 0.334 0.666 0.666
Rb24 0.066 0.663 0.861
Ge27 0.937 0.682 0.425
Rb25 0.663 0.861 0.066
Ge28 0.431 0.569 0.431
Ge29 0.563 0.925 0.818
Rb26 0.139 0.066 0.337
Rb27 0.566 0.361 0.163
Rb28 0.666 0.334 0.666
Rb29 0.934 0.337 0.861
Rb30 0.639 0.163 0.434
Ge30 0.569 0.569 0.569
Ge31 0.931 0.069 0.931
Rb31 0.837 0.566 0.639
Ge32 0.818 0.563 0.925
Rb32 0.361 0.837 0.434

***

> Which value of total DFT energy (no corrections) does entry 7 give?

-6.8566 eV/atom

***

> Among the records above, which one has the highest total DFT energy (no corrections)?

Cs6K7